Density functional theory data (GGA-PBE) for crystalline Ba4Zr3S10 at its relaxed geometry.

space-group type: No. 139
DFT formation energy: -2.109 eV per atom
magnetization: 0.0 Bohr magnetons per cell

Cell: 18.3144 18.3144 18.3144 Å, 164.15 164.15 22.48°
With the nearest neighbours (Å) after each atom.
Atoms (fractional coordinates):
Ba 0.0674 0.0674 0.0000  12 S 3.50-3.62
Ba 0.1997 0.1997 0.0000  5 S 3.13-3.33
Ba 0.8003 0.8003 0.0000  5 S 3.13-3.33
Ba 0.9326 0.9326 0.0000  12 S 3.50-3.62
Zr 0.3568 0.3568 0.0000  6 S 2.51-2.61
Zr 0.5000 0.5000 0.0000  6 S 2.52-2.53
Zr 0.6432 0.6432 0.0000  6 S 2.51-2.61
S 0.0000 0.5000 0.5000  2 Zr 2.52
S 0.1394 0.6394 0.5000  2 Zr 2.53
S 0.2869 0.2869 0.0000  1 Zr 2.51
S 0.3606 0.8606 0.5000  2 Zr 2.53
S 0.4295 0.4295 0.0000  2 Zr 2.53-2.61
S 0.5000 0.0000 0.5000  2 Zr 2.52
S 0.5705 0.5705 0.0000  2 Zr 2.53-2.61
S 0.6394 0.1394 0.5000  2 Zr 2.53
S 0.7131 0.7131 0.0000  1 Zr 2.51
S 0.8606 0.3606 0.5000  2 Zr 2.53

Density functional theory data (GGA-PBE) for crystalline Ba3Zr2S7 at its relaxed geometry.

space-group type: No. 136
DFT formation energy: -2.150 eV per atom
distance to the lowest polymorph of the same formula: 0.0 meV/atom

Cell: 7.1709 7.1709 25.5476 Å, 90.00 90.00 90.00°
With the nearest neighbours (Å) after each atom.
Atoms (fractional coordinates):
Ba 0.2347 0.2347 0.1811  7 S 3.13-3.48
Ba 0.2347 0.2347 0.8189  7 S 3.13-3.48
Ba 0.2452 0.7548 0.5000  8 S 3.25-3.52
Ba 0.2548 0.2548 0.0000  8 S 3.25-3.52
Ba 0.2653 0.7347 0.3189  7 S 3.13-3.48
Ba 0.2653 0.7347 0.6811  7 S 3.13-3.48
Ba 0.7347 0.2653 0.3189  7 S 3.13-3.48
Ba 0.7347 0.2653 0.6811  7 S 3.13-3.48
Ba 0.7452 0.7452 0.0000  8 S 3.25-3.52
Ba 0.7548 0.2452 0.5000  8 S 3.25-3.52
Ba 0.7653 0.7653 0.1811  7 S 3.13-3.48
Ba 0.7653 0.7653 0.8189  7 S 3.13-3.48
Zr 0.2491 0.2491 0.4001  6 S 2.53-2.59
Zr 0.2491 0.2491 0.5999  6 S 2.53-2.59
Zr 0.2509 0.7491 0.0999  6 S 2.53-2.59
Zr 0.2509 0.7491 0.9001  6 S 2.53-2.59
Zr 0.7491 0.2509 0.0999  6 S 2.53-2.59
Zr 0.7491 0.2509 0.9001  6 S 2.53-2.59
Zr 0.7509 0.7509 0.4001  6 S 2.53-2.59
Zr 0.7509 0.7509 0.5999  6 S 2.53-2.59
S 0.0000 0.0000 0.0818  2 Zr 2.59
S 0.0000 0.0000 0.3873  2 Zr 2.55
S 0.0000 0.0000 0.6127  2 Zr 2.55
S 0.0000 0.0000 0.9182  2 Zr 2.59
S 0.0000 0.5000 0.0957  2 Zr 2.54
S 0.0000 0.5000 0.4043  2 Zr 2.54
S 0.0000 0.5000 0.5957  2 Zr 2.54
S 0.0000 0.5000 0.9043  2 Zr 2.54
S 0.2060 0.2060 0.5000  2 Zr 2.59
S 0.2140 0.7860 0.1979  1 Zr 2.53
S 0.2140 0.7860 0.8021  1 Zr 2.53
S 0.2860 0.2860 0.3021  1 Zr 2.53
S 0.2860 0.2860 0.6979  1 Zr 2.53
S 0.2940 0.7060 0.0000  2 Zr 2.59
S 0.5000 0.0000 0.0957  2 Zr 2.54
S 0.5000 0.0000 0.4043  2 Zr 2.54
S 0.5000 0.0000 0.5957  2 Zr 2.54
S 0.5000 0.0000 0.9043  2 Zr 2.54
S 0.5000 0.5000 0.1127  2 Zr 2.55
S 0.5000 0.5000 0.4182  2 Zr 2.59
S 0.5000 0.5000 0.5818  2 Zr 2.59
S 0.5000 0.5000 0.8873  2 Zr 2.55
S 0.7060 0.2940 0.0000  2 Zr 2.59
S 0.7140 0.7140 0.3021  1 Zr 2.53
S 0.7140 0.7140 0.6979  1 Zr 2.53
S 0.7860 0.2140 0.1979  1 Zr 2.53
S 0.7860 0.2140 0.8021  1 Zr 2.53
S 0.7940 0.7940 0.5000  2 Zr 2.59